No. 1
Material: Tl2Pd
Method: DFT, PBE
State: relaxed

The structure in POSCAR format:
```
Tl2Pd
1.0
-3.4385 3.4385 2.9555
3.4385 -3.4385 2.9555
3.4385 3.4385 -2.9555
Tl Pd
4 2
Direct
0.1655 0.6655 0.8309
0.3345 0.1655 0.5000
0.6655 0.8345 0.5000
0.8345 0.3345 0.1691
0.2500 0.2500 0.0000
0.7500 0.7500 0.0000
```

Computed properties:
The value obtained for the formation energy is -124 meV per atom. As for the space group: No. 140.

No. 2
Material: Tl9Pd13
Method: DFT, PBE
State: relaxed

The structure in POSCAR format:
```
Tl9Pd13
1.0
9.1659 0.0000 0.0000
-4.5830 7.9379 0.0000
0.0000 0.0000 5.7719
Tl Pd
9 13
Direct
0.0000 0.0000 0.0000
0.1927 0.3854 0.7466
0.1927 0.8073 0.7466
0.3333 0.6667 0.2495
0.3854 0.1927 0.2534
0.6146 0.8073 0.7466
0.6667 0.3333 0.7505
0.8073 0.1927 0.2534
0.8073 0.6146 0.2534
0.0000 0.0000 0.5000
0.0000 0.5000 0.0000
0.0000 0.5000 0.5000
0.1596 0.3192 0.2531
0.1596 0.8404 0.2531
0.3192 0.1596 0.7469
0.5000 0.0000 0.0000
0.5000 0.0000 0.5000
0.5000 0.5000 0.0000
0.5000 0.5000 0.5000
0.6808 0.8404 0.2531
0.8404 0.1596 0.7469
0.8404 0.6808 0.7469
```

Computed properties:
The value obtained for the formation energy is -215 meV per atom. As for the space group: No. 164.

No. 3
Material: TmPd3
Method: DFT, PBE
State: relaxed

The structure in POSCAR format:
```
TmPd3
1.0
4.1001 0.0000 0.0000
0.0000 4.1001 0.0000
0.0000 0.0000 4.1001
Tm Pd
1 3
Direct
0.0000 0.0000 0.0000
0.0000 0.5000 0.5000
0.5000 0.0000 0.5000
0.5000 0.5000 0.0000
```

Computed properties:
The value obtained for the formation energy is -927 meV per atom. As for the space group: No. 221.

No. 4
Material: TmZnPd2
Method: DFT, PBE
State: relaxed

The structure in POSCAR format:
```
TmZnPd2
1.0
0.0000 3.2820 3.2820
3.2820 0.0000 3.2820
3.2820 3.2820 0.0000
Tm Zn Pd
1 1 2
Direct
0.0000 0.0000 0.0000
0.5000 0.5000 0.5000
0.2500 0.2500 0.2500
0.7500 0.7500 0.7500
```

Computed properties:
The value obtained for the formation energy is -781 meV per atom. As for the space group: No. 225.

No. 5
Material: UPd3
Method: DFT, PBE
State: relaxed

The structure in POSCAR format:
```
UPd3
1.0
5.8424 0.0000 0.0000
-2.9212 5.0597 0.0000
0.0000 0.0000 9.7134
U Pd
4 12
Direct
0.0000 0.0000 0.0000
0.0000 0.0000 0.5000
0.3333 0.6667 0.2500
0.6667 0.3333 0.7500
0.0000 0.5000 0.0000
0.0000 0.5000 0.5000
0.1703 0.3405 0.7500
0.1703 0.8297 0.7500
0.3405 0.1703 0.2500
0.5000 0.0000 0.0000
0.5000 0.0000 0.5000
0.5000 0.5000 0.0000
0.5000 0.5000 0.5000
0.6595 0.8297 0.7500
0.8297 0.1703 0.2500
0.8297 0.6595 0.2500
```

Computed properties:
The value obtained for the formation energy is -541 meV per atom. As for the space group: No. 194.

No. 6
Material: VPd3
Method: DFT, PBE
State: relaxed

The structure in POSCAR format:
```
VPd3
1.0
1.3870 0.8008 8.9475
-1.3870 0.8008 8.9475
0.0000 -1.6016 8.9475
V Pd
1 3
Direct
0.0000 0.0000 0.0000
0.2549 0.2549 0.2549
0.5000 0.5000 0.5000
0.7451 0.7451 0.7451
```

Computed properties:
The value obtained for the formation energy is -157 meV per atom. As for the space group: No. 166.

No. 7
Material: VPd2
Method: DFT, PBE
State: relaxed

The structure in POSCAR format:
```
VPd2
1.0
-1.3731 1.9061 4.1687
1.3731 -1.9061 4.1687
1.3731 1.9061 -4.1687
V Pd
1 2
Direct
0.0000 0.0000 0.0000
0.3380 0.3380 0.0000
0.6620 0.6620 0.0000
```

Computed properties:
The value obtained for the formation energy is -280 meV per atom. As for the space group: No. 71.

No. 8
Material: VPd3
Method: DFT, PBE
State: relaxed

The structure in POSCAR format:
```
VPd3
1.0
5.5268 0.0000 0.0000
-2.7634 4.7863 0.0000
0.0000 0.0000 4.4880
V Pd
2 6
Direct
0.3333 0.6667 0.2500
0.6667 0.3333 0.7500
0.1695 0.3389 0.7500
0.1695 0.8305 0.7500
0.3389 0.1695 0.2500
0.6611 0.8305 0.7500
0.8305 0.1695 0.2500
0.8305 0.6611 0.2500
```

Computed properties:
The value obtained for the formation energy is -251 meV per atom. As for the space group: No. 194.

No. 9
Material: VPd3
Method: DFT, PBE
State: relaxed

The structure in POSCAR format:
```
VPd3
1.0
-1.9409 1.9409 3.9233
1.9409 -1.9409 3.9233
1.9409 1.9409 -3.9233
V Pd
1 3
Direct
0.0000 0.0000 0.0000
0.2500 0.7500 0.5000
0.5000 0.5000 0.0000
0.7500 0.2500 0.5000
```

Computed properties:
The value obtained for the formation energy is -246 meV per atom. As for the space group: No. 139.

No. 10
Material: VPd3
Method: DFT, PBE
State: relaxed

The structure in POSCAR format:
```
VPd3
1.0
3.9053 0.0000 0.0000
0.0000 3.9053 0.0000
0.0000 0.0000 3.9053
V Pd
1 3
Direct
0.0000 0.0000 0.0000
0.0000 0.5000 0.5000
0.5000 0.0000 0.5000
0.5000 0.5000 0.0000
```

Computed properties:
The value obtained for the formation energy is -235 meV per atom. As for the space group: No. 221.

No. 11
Material: Pd4W
Method: DFT, PBE
State: relaxed

The structure in POSCAR format:
```
Pd4W
1.0
1.4003 0.8085 11.3919
-1.4003 0.8085 11.3919
0.0000 -1.6169 11.3919
Pd W
4 1
Direct
0.1017 0.1017 0.1017
0.2997 0.2997 0.2997
0.7003 0.7003 0.7003
0.8983 0.8983 0.8983
0.5000 0.5000 0.5000
```

Computed properties:
The value obtained for the formation energy is -29 meV per atom. As for the space group: No. 166.

No. 12
Material: Pd3W
Method: DFT, PBE
State: relaxed

The structure in POSCAR format:
```
Pd3W
1.0
-1.9433 1.9433 4.0380
1.9433 -1.9433 4.0380
1.9433 1.9433 -4.0380
Pd W
3 1
Direct
0.0000 0.0000 0.0000
0.2500 0.7500 0.5000
0.7500 0.2500 0.5000
0.5000 0.5000 0.0000
```

Computed properties:
The value obtained for the formation energy is -39 meV per atom. As for the space group: No. 139.

No. 13
Material: Y3Pd2
Method: DFT, PBE
State: relaxed

The structure in POSCAR format:
```
Y3Pd2
1.0
4.4183 2.5509 5.5199
-4.4183 2.5509 5.5199
0.0000 -5.1018 5.5199
Y Pd
9 6
Direct
0.0000 0.0000 0.0000
0.1714 0.6572 0.3928
0.2061 0.2061 0.2061
0.3428 0.6072 0.8286
0.3928 0.1714 0.6572
0.6072 0.8286 0.3428
0.6572 0.3928 0.1714
0.7939 0.7939 0.7939
0.8286 0.3428 0.6072
0.0425 0.4090 0.8440
0.1560 0.9575 0.5910
0.4090 0.8440 0.0425
0.5910 0.1560 0.9575
0.8440 0.0425 0.4090
0.9575 0.5910 0.1560
```

Computed properties:
The value obtained for the formation energy is -730 meV per atom. As for the space group: No. 148.

No. 14
Material: Y3Pd4
Method: DFT, PBE
State: relaxed

The structure in POSCAR format:
```
Y3Pd4
1.0
6.6429 3.8353 1.9275
-6.6429 3.8353 1.9275
0.0000 -7.6705 1.9275
Y Pd
6 8
Direct
0.0245 0.2752 0.4044
0.2752 0.4044 0.0245
0.4044 0.0245 0.2752
0.5956 0.9755 0.7248
0.7248 0.5956 0.9755
0.9755 0.7248 0.5956
0.0000 0.0000 0.0000
0.0633 0.5514 0.2292
0.2292 0.0633 0.5514
0.4486 0.7708 0.9367
0.5000 0.5000 0.5000
0.5514 0.2292 0.0633
0.7708 0.9367 0.4486
0.9367 0.4486 0.7708
```

Computed properties:
The value obtained for the formation energy is -925 meV per atom. As for the space group: No. 148.

No. 15
Material: YPd
Method: DFT, PBE
State: relaxed

The structure in POSCAR format:
```
YPd
1.0
1.8518 -5.3029 0.0000
1.8518 5.3029 0.0000
0.0000 0.0000 4.6243
Y Pd
2 2
Direct
0.1368 0.8632 0.7500
0.8632 0.1368 0.2500
0.4145 0.5855 0.7500
0.5855 0.4145 0.2500
```

Computed properties:
The value obtained for the formation energy is -910 meV per atom. As for the space group: No. 63.

No. 16
Material: YPd3
Method: DFT, PBE
State: relaxed

The structure in POSCAR format:
```
YPd3
1.0
4.1401 0.0000 0.0000
0.0000 4.1401 0.0000
0.0000 0.0000 4.1401
Y Pd
1 3
Direct
0.0000 0.0000 0.0000
0.0000 0.5000 0.5000
0.5000 0.0000 0.5000
0.5000 0.5000 0.0000
```

Computed properties:
The value obtained for the formation energy is -862 meV per atom. As for the space group: No. 221.

No. 17
Material: YZnPd2
Method: DFT, PBE
State: relaxed

The structure in POSCAR format:
```
YZnPd2
1.0
0.0000 3.3209 3.3209
3.3209 0.0000 3.3209
3.3209 3.3209 0.0000
Y Zn Pd
1 1 2
Direct
0.0000 0.0000 0.0000
0.5000 0.5000 0.5000
0.2500 0.2500 0.2500
0.7500 0.7500 0.7500
```

Computed properties:
The value obtained for the formation energy is -724 meV per atom. As for the space group: No. 225.

No. 18
Material: Zn2Pd
Method: DFT, PBE
State: relaxed

The structure in POSCAR format:
```
Zn2Pd
1.0
3.7388 -3.7958 0.0000
3.7388 3.7958 0.0000
0.0000 0.0000 12.3253
Zn Pd
16 8
Direct
0.0000 0.0000 0.9999
0.0000 0.0000 0.3360
0.0000 0.0000 0.6622
0.0000 0.5000 0.0000
0.0000 0.5000 0.3332
0.0000 0.5000 0.6665
0.2780 0.2780 0.4981
0.2783 0.7217 0.8410
0.2819 0.2819 0.1631
0.5000 0.0000 0.0000
0.5000 0.0000 0.3332
0.5000 0.0000 0.6665
0.5000 0.5000 0.6700
0.7181 0.7181 0.1631
0.7217 0.2783 0.8410
0.7220 0.7220 0.4981
0.2133 0.7867 0.1716
0.2195 0.2195 0.8258
0.2237 0.7763 0.4995
0.5000 0.5000 0.0022
0.5000 0.5000 0.3304
0.7763 0.2237 0.4995
0.7805 0.7805 0.8258
0.7867 0.2133 0.1716
```

Computed properties:
The value obtained for the formation energy is -438 meV per atom. As for the space group: No. 35.

No. 19
Material: Zn5Pd3
Method: DFT, PBE
State: relaxed

The structure in POSCAR format:
```
Zn5Pd3
1.0
3.0734 0.0000 0.0000
0.0000 3.0734 0.0000
0.0000 0.0000 12.2881
Zn Pd
5 3
Direct
0.0000 0.0000 0.0000
0.5000 0.5000 0.1249
0.5000 0.5000 0.3748
0.5000 0.5000 0.6252
0.5000 0.5000 0.8751
0.0000 0.0000 0.2500
0.0000 0.0000 0.5000
0.0000 0.0000 0.7500
```

Computed properties:
The value obtained for the formation energy is -425 meV per atom. As for the space group: No. 123.

No. 20
Material: ZnPd
Method: DFT, PBE
State: relaxed

The structure in POSCAR format:
```
ZnPd
1.0
2.9145 0.0000 0.0000
0.0000 2.9145 0.0000
0.0000 0.0000 3.4177
Zn Pd
1 1
Direct
0.0000 0.0000 0.0000
0.5000 0.5000 0.5000
```

Computed properties:
The value obtained for the formation energy is -576 meV per atom. As for the space group: No. 123.

No. 21
Material: Zr3Pd4
Method: DFT, PBE
State: relaxed

The structure in POSCAR format:
```
Zr3Pd4
1.0
6.3313 3.6554 1.8668
-6.3313 3.6554 1.8668
0.0000 -7.3108 1.8668
Zr Pd
6 8
Direct
0.0047 0.3967 0.2654
0.2654 0.0047 0.3967
0.3967 0.2654 0.0047
0.6033 0.7346 0.9953
0.7346 0.9953 0.6033
0.9953 0.6033 0.7346
0.0000 0.0000 0.0000
0.0773 0.2381 0.5594
0.2381 0.5594 0.0773
0.4406 0.9227 0.7619
0.5000 0.5000 0.5000
0.5594 0.0773 0.2381
0.7619 0.4406 0.9227
0.9227 0.7619 0.4406
```

Computed properties:
The value obtained for the formation energy is -695 meV per atom. As for the space group: No. 148.

No. 22
Material: ZrPd3
Method: DFT, PBE
State: relaxed

The structure in POSCAR format:
```
ZrPd3
1.0
4.0395 0.0000 0.0000
0.0000 4.0395 0.0000
0.0000 0.0000 4.0395
Zr Pd
1 3
Direct
0.0000 0.0000 0.0000
0.0000 0.5000 0.5000
0.5000 0.0000 0.5000
0.5000 0.5000 0.0000
```

Computed properties:
The value obtained for the formation energy is -794 meV per atom. As for the space group: No. 221.

No. 23
Material: ZrPd2
Method: DFT, PBE
State: relaxed

The structure in POSCAR format:
```
ZrPd2
1.0
-1.7387 1.7387 4.3708
1.7387 -1.7387 4.3708
1.7387 1.7387 -4.3708
Zr Pd
1 2
Direct
0.0000 0.0000 0.0000
0.3374 0.3374 0.0000
0.6626 0.6626 0.0000
```

Computed properties:
The value obtained for the formation energy is -757 meV per atom. As for the space group: No. 139.

No. 24
Material: ZrPd
Method: DFT, PBE
State: relaxed

The structure in POSCAR format:
```
ZrPd
1.0
3.3600 0.0000 0.0000
0.0000 3.3600 0.0000
0.0000 0.0000 3.3600
Zr Pd
1 1
Direct
0.0000 0.0000 0.0000
0.5000 0.5000 0.5000
```

Computed properties:
The value obtained for the formation energy is -587 meV per atom. As for the space group: No. 221.

No. 25
Material: ZrPd3
Method: DFT, PBE
State: relaxed

The structure in POSCAR format:
```
ZrPd3
1.0
5.7121 0.0000 0.0000
-2.8560 4.9468 0.0000
0.0000 0.0000 9.3598
Zr Pd
4 12
Direct
0.0000 0.0000 0.0000
0.0000 0.0000 0.5000
0.3333 0.6667 0.2500
0.6667 0.3333 0.7500
0.0000 0.5000 0.0000
0.0000 0.5000 0.5000
0.1697 0.3393 0.7500
0.1697 0.8303 0.7500
0.3393 0.1697 0.2500
0.5000 0.0000 0.0000
0.5000 0.0000 0.5000
0.5000 0.5000 0.0000
0.5000 0.5000 0.5000
0.6607 0.8303 0.7500
0.8303 0.1697 0.2500
0.8303 0.6607 0.2500
```

Computed properties:
The value obtained for the formation energy is -819 meV per atom. As for the space group: No. 194.